Arrangement 1

PBE CaAsH5O6, relaxed; space-group type = Cc (9)
1.0
7.7184 3.3538 0.0000
-7.7184 3.3538 0.0000
0.0000 3.1258 5.2013
Ca As H O
2 2 10 12
Cartesian
-5.0570 4.1998 1.3160 Ca
5.0570 5.7626 3.9166 Ca
2.7099 4.1127 1.4015 As
-2.7099 5.6756 4.0022 As
2.5806 8.0120 4.4297 H
-2.5806 6.4491 1.8290 H
0.1583 4.5366 4.7030 H
-0.1583 2.9737 2.1023 H
1.3252 3.9221 3.8131 H
-1.3252 2.3592 1.2125 H
-0.1559 6.7106 2.5111 H
0.1559 8.2735 5.1118 H
1.0333 6.1036 3.3349 H
-1.0333 4.5408 0.7343 H
0.8295 6.6988 2.5801 O
-1.1525 2.9133 2.0267 O
1.1525 4.4761 4.6274 O
-0.8295 8.2617 5.1808 O
1.9356 4.9410 0.0173 O
-1.9356 6.5039 2.6180 O
3.4199 5.3956 2.2586 O
-3.4199 6.9584 4.8593 O
1.5556 3.1745 2.2275 O
-1.5556 4.7374 4.8281 O
3.8679 2.9910 0.7882 O
-3.8679 4.5538 3.3888 O

Arrangement 2

PBE CaAsH5O6, relaxed; space-group type = Cc (9)
1.0
-9.1651 -0.2325 0.5800
6.9992 -4.9191 -3.3472
-0.2826 -4.4925 4.1982
Ca As H O
2 2 10 12
Cartesian
-3.6505 -4.6078 3.5822 Ca
2.0631 -3.9772 0.1292 Ca
-4.4292 -3.0867 -0.8516 As
1.2512 -7.0209 -0.1669 As
-1.8822 -2.1724 1.3781 H
-0.8655 -4.0318 2.4853 H
0.0795 -5.7465 1.5313 H
-7.9766 -1.5179 1.3686 H
-0.1987 -1.9379 0.2586 H
-2.1825 -2.8034 0.0161 H
4.2341 -6.2448 0.7943 H
0.7535 -5.2238 2.8025 H
-5.8630 -1.0300 1.1827 H
5.6501 -7.7560 0.1226 H
-1.7952 -1.9247 0.4226 O
-1.6714 -3.5116 2.8183 O
-4.9213 -1.7052 0.0362 O
-5.4539 -3.5757 2.3506 O
0.8109 -1.9441 0.1505 O
-3.1090 -3.9793 -0.2973 O
-4.0751 -6.6744 1.8864 O
0.4077 -4.8507 1.9521 O
2.6983 -6.2016 0.2497 O
0.6122 -5.7462 -1.3172 O
3.4151 -3.8599 -1.8690 O
0.0443 -7.1808 1.0013 O

Most stable of them? arrangement 1.

Arrangement 1

PBE KCaAsO12, relaxed; space-group type = Amm2 (38)
1.0
4.0157 -7.6434 0.0000
4.0157 7.6434 0.0000
0.0000 0.0000 5.1226
K Ca As O
1 1 1 12
Cartesian
4.0157 -3.8083 2.5613 K
4.0157 4.4419 2.5613 Ca
4.0157 7.2709 0.0000 As
4.0157 6.1142 3.8405 O
4.0157 6.1142 1.2820 O
1.3978 0.6108 0.0000 O
6.6337 0.6108 0.0000 O
4.0157 -1.1541 4.5077 O
4.0157 -1.1541 0.6149 O
7.4122 1.1031 2.5613 O
0.6193 1.1031 2.5613 O
2.4780 3.6530 4.4814 O
5.5535 3.6530 0.6412 O
2.4780 3.6530 0.6412 O
5.5535 3.6530 4.4814 O

Arrangement 2

PBE KCaAsO12, relaxed; space-group type = Amm2 (38)
1.0
-3.5528 -7.8334 0.0000
-3.5528 7.8334 0.0000
0.0000 0.0000 -3.9636
K Ca As O
1 1 1 12
Cartesian
-3.5528 3.3278 -1.9818 K
-3.5528 -2.0504 -1.9818 Ca
-3.5528 -7.8259 0.0000 As
-3.5528 -6.4677 -2.8391 O
-3.5528 -6.4677 -1.1245 O
-5.7319 -1.0908 0.0000 O
-1.3736 -1.0908 0.0000 O
-3.5528 0.8471 -3.3383 O
-3.5528 0.8471 -0.6253 O
-1.6274 -0.8905 -1.9818 O
-5.4781 -0.8905 -1.9818 O
-4.8596 -3.7509 -3.3180 O
-2.2459 -3.7509 -0.6456 O
-4.8596 -3.7509 -0.6456 O
-2.2459 -3.7509 -3.3180 O

Most stable of them? arrangement 1.

Arrangement 1

PBE Ca3SbAs, relaxed; space-group type = Pm-3m (221)
1.0
5.4900 0.0000 0.0000
0.0000 5.4900 0.0000
0.0000 0.0000 5.4900
Ca Sb As
3 1 1
Cartesian
0.0000 2.7450 2.7450 Ca
2.7450 0.0000 2.7450 Ca
2.7450 2.7450 0.0000 Ca
0.0000 0.0000 0.0000 Sb
2.7450 2.7450 2.7450 As

Arrangement 2

PBE Ca3SbAs, relaxed; space-group type = Pm-3m (221)
1.0
-4.8102 3.1494 0.0751
-2.3414 -3.6657 3.7607
2.1077 3.1155 4.3490
Ca Sb As
3 1 1
Cartesian
-0.1168 -0.2751 4.0549 Ca
-1.3512 3.1325 2.2120 Ca
-3.5758 -0.2581 1.9179 Ca
-2.5219 1.2996 4.0924 Sb
0.0000 0.0000 0.0000 As

Most stable of them? arrangement 1.

Arrangement 1

PBE MgCo2As2S2, relaxed; space-group type = Pm (6)
1.0
3.4879 0.0011 -0.0001
-0.0012 4.9541 -0.6287
0.0000 -0.7073 6.6311
Mg Co As S
1 2 2 2
Cartesian
0.8710 2.5626 5.8810 Mg
2.6151 3.5455 2.7463 Co
0.8717 0.8754 0.2331 Co
0.8720 -0.0378 2.4785 As
2.6158 -0.3701 5.4768 As
2.6153 2.3481 0.8036 S
0.8716 2.2015 3.4718 S

Arrangement 2

PBE MgCo2As2S2, relaxed; space-group type = Pm (6)
1.0
-0.7564 2.7572 -1.6076
-1.9534 -2.7634 -3.8219
-5.2465 1.1134 4.3797
Mg Co As S
1 2 2 2
Cartesian
-6.3444 1.3698 0.3132 Mg
-4.4456 0.5906 -1.9144 Co
-0.7278 0.3736 -0.6897 Co
-3.9493 -1.6365 -2.6218 As
-4.7915 2.7714 1.9883 As
-2.3017 1.0596 -2.1178 S
-4.1243 0.0143 0.2920 S

Most stable of them? arrangement 1.

Arrangement 1

PBE Cu4As2O9, relaxed; space-group type = Pnma (62)
1.0
-1.6660 -4.1368 -4.7465
5.5935 -5.4898 2.8212
-9.7949 -5.6725 8.3817
Cu As O
16 8 36
Cartesian
1.1319 -3.3241 0.2656 Cu
-6.9993 -11.9750 6.1908 Cu
0.0183 -8.3336 5.0224 Cu
-5.8857 -6.9655 1.4340 Cu
-7.1488 -8.8302 5.6720 Cu
2.0904 -4.4604 3.0890 Cu
-3.2970 -12.5042 3.1830 Cu
-3.3792 -4.8035 0.9688 Cu
1.2815 -6.4689 0.7844 Cu
-7.9577 -10.8387 3.3674 Cu
-2.5703 -2.7949 3.2734 Cu
-2.4881 -10.4956 5.4876 Cu
-2.9554 -7.5115 5.3496 Cu
-2.9120 -7.7876 1.1068 Cu
-8.9500 -6.6185 6.6755 Cu
3.0827 -8.6806 -0.2191 Cu
-0.9821 -5.7301 3.1046 As
-4.8852 -9.5690 3.3519 As
-1.9467 -1.9241 0.1261 As
-3.9206 -13.3750 6.3303 As
-5.3285 -5.2387 4.2018 As
-0.5388 -10.0604 2.2546 As
-5.6574 -9.7937 8.2871 As
-0.2100 -5.5054 -1.8307 As
-4.4688 -6.4708 4.9739 O
-1.3985 -8.8283 1.4825 O
-4.2999 -10.7376 8.6332 O
-1.5674 -4.5615 -2.1768 O
-7.5762 -7.8924 7.3035 O
1.7089 -7.4067 -0.8471 O
-1.6770 -8.8406 6.0593 O
-4.1904 -6.4585 0.3972 O
-3.7666 -9.2858 4.6487 O
-1.3788 -4.2207 3.8646 O
-9.2847 -9.4914 2.8922 O
2.6954 -7.6003 1.5074 O
-2.1008 -6.0133 1.8077 O
-4.4885 -11.0784 2.5919 O
-1.1915 -6.9853 4.2720 O
3.4174 -5.8077 3.5642 O
-5.9422 -10.0256 6.5785 O
-0.6749 -7.1350 -2.2579 O
-5.8725 -4.1934 5.4924 O
0.7549 -9.2443 3.0999 O
0.0748 -5.2735 -0.1221 O
-5.1925 -8.1641 8.7143 O
0.0052 -11.1057 0.9640 O
-6.6222 -6.0548 3.3565 O
-3.5332 -12.1517 5.1283 O
-2.3341 -3.1473 1.3281 O
-6.5527 -9.5358 3.9083 O
0.6854 -5.7633 2.5482 O
-1.3958 -11.0402 3.4094 O
-4.4715 -4.2589 3.0471 O
-8.5282 -10.8062 5.7088 O
2.6609 -4.4929 0.7476 O
-5.5832 -13.2039 6.7648 O
-0.2841 -2.0952 -0.3084 O
-4.6758 -8.3137 2.1844 O
-8.5628 -7.6988 4.9491 O

Arrangement 2

PBE Cu4As2O9, relaxed; space-group type = P-1 (2)
1.0
-1.6172 -5.6094 2.7765
6.3173 -2.5163 -3.8882
3.7959 5.1979 5.3438
Cu As O
8 4 18
Cartesian
4.2907 -0.5921 4.1925 Cu
5.6323 -2.5668 -2.5651 Cu
6.7802 -1.1665 0.6550 Cu
4.8835 2.3664 2.7952 Cu
2.8637 -0.3610 6.7973 Cu
4.2053 -2.3357 0.0396 Cu
3.6125 -5.2942 1.4369 Cu
1.7158 -1.7613 3.5771 Cu
2.5831 0.4983 1.3467 As
1.3361 -3.0889 0.7313 As
5.9130 -3.4261 2.8855 As
7.1599 0.1611 3.5008 As
7.8271 -0.8189 2.2576 O
2.3646 -0.0158 2.9945 O
5.2402 2.9998 4.6160 O
3.2558 -5.9276 -0.3839 O
3.0278 -3.4410 1.1520 O
4.3395 0.5826 5.8792 O
9.0760 2.0050 0.9045 O
5.4682 0.5132 3.0801 O
2.8167 -1.4010 5.1521 O
-0.5800 -4.9328 3.3277 O
6.8093 0.6159 -0.1114 O
5.6794 -1.5268 -0.9199 O
4.1566 -3.5105 -1.6471 O
0.6689 -2.1090 1.9745 O
3.7075 -0.4233 0.4452 O
4.7885 -2.5045 3.7870 O
1.6867 -3.5438 4.3436 O
6.1314 -2.9120 1.2377 O

Most stable of them? arrangement 1.

Arrangement 1

PBE ZnCuAsO5, relaxed; space-group type = P2_12_12_1 (19)
1.0
-3.2214 1.6230 -4.6378
-0.4755 -7.4181 -2.2657
-7.3505 -0.9831 4.7616
Zn Cu As O
4 4 4 20
Cartesian
-5.6553 -6.5950 1.2368 Zn
-2.9657 -0.8857 -1.5882 Zn
-9.1228 -1.5392 -1.2619 Zn
-4.3511 -4.5366 -2.6705 Zn
-1.1991 -5.1606 -2.8579 Cu
-4.6153 -1.9447 0.6883 Cu
-6.1737 -1.1349 -1.6675 Cu
-10.1068 -5.3163 -0.4467 Cu
-7.7687 -0.7587 1.5925 As
-3.0271 -7.0128 -0.5351 As
-6.8063 -4.2059 -0.6495 As
-4.4928 -1.5790 -4.6917 As
-8.9332 -6.7345 0.1058 O
-6.4764 0.3998 -2.7843 O
-5.9261 -2.6665 -0.5179 O
-0.7592 -4.5553 -1.0875 O
-8.7529 -2.0657 2.0645 O
-4.0809 -5.9784 0.3130 O
-5.9653 -5.1332 -1.8040 O
-3.2958 -0.3792 -4.8574 O
-7.8043 -0.4479 -0.0912 O
-4.6873 -5.4965 -4.4775 O
-6.7946 -4.8917 0.9196 O
-2.8087 -2.7203 -0.6347 O
-6.1566 -0.9148 2.1815 O
-2.9563 -6.6316 -2.2143 O
-8.4035 -3.8181 -1.1678 O
-4.5785 -2.1919 -3.0832 O
-7.1142 -7.2901 2.3775 O
-4.6940 -0.6168 -0.6643 O
-7.7154 -1.6464 -2.6477 O
-2.5714 -4.0031 -3.3493 O

Arrangement 2

PBE ZnCuAsO5, relaxed; space-group type = Pnnm (58)
1.0
-3.2501 -1.2582 -4.6535
-5.8754 -3.8389 5.1413
-4.2808 7.7497 0.8945
Zn Cu As O
4 4 4 20
Cartesian
-6.6732 -0.2348 4.7241 Zn
-3.4830 4.1457 1.3117 Zn
-4.1521 -1.1322 -0.4258 Zn
-9.2542 3.7848 1.8081 Zn
-2.4246 -0.9386 -3.4716 Cu
-0.8254 -0.3195 -1.1819 Cu
-7.5286 1.0068 -0.4908 Cu
-5.8777 1.6459 1.8730 Cu
-7.7717 2.8807 4.6490 As
-2.3845 1.0301 1.3868 As
-6.4196 4.0997 -0.2567 As
-6.9866 -1.4470 1.6390 As
-7.9353 1.2544 5.2029 O
-2.2209 2.6565 0.8329 O
-7.8167 4.7064 0.5550 O
-5.5896 -2.0537 0.8273 O
-9.1235 3.8385 5.3341 O
-1.0327 0.0723 0.7017 O
-6.2769 2.3519 0.1161 O
-7.1294 0.3007 1.2661 O
-9.5662 2.3155 0.5308 O
-3.8401 0.3372 0.8515 O
-5.5337 -0.3184 -1.5735 O
-6.5619 4.2649 -1.9413 O
-7.8726 2.9711 2.9557 O
-6.8444 -1.6122 3.3236 O
-8.4009 -2.2148 1.0950 O
-5.0054 4.8674 0.2873 O
-5.4762 1.0033 3.5534 O
-4.6800 2.9075 2.4824 O
-2.5849 -0.5643 -1.6739 O
-10.8214 3.2169 3.0562 O

Most stable of them? arrangement 2.